[1]
Here is a relaxed LiCoP2O7 crystal from Materials Project. Energies are from PBE with a Hubbard U.

abc: 14.5880 5.0527 8.7788
angles: 90.00 102.66 90.00
Space group Pc (No. 7)
Symmetry-distinct sites (fractional):
Li 0.0000 0.1696 0.0000 (multiplicity 2)
Li 0.4996 0.3177 0.0036 (multiplicity 2)
Co 0.2992 0.4816 0.8476 (multiplicity 2)
Co 0.7952 0.0182 0.8462 (multiplicity 2)
P 0.2008 0.1619 0.5475 (multiplicity 2)
P 0.3974 0.1540 0.6312 (multiplicity 2)
P 0.6999 0.3641 0.5481 (multiplicity 2)
P 0.9000 0.3560 0.6315 (multiplicity 2)
O 0.1202 0.0226 0.0224 (multiplicity 2)
O 0.2043 0.3250 0.3980 (multiplicity 2)
O 0.2077 0.3491 0.6897 (multiplicity 2)
O 0.2993 0.0095 0.0832 (multiplicity 2)
O 0.3926 0.3827 0.5081 (multiplicity 2)
O 0.3972 0.2865 0.7931 (multiplicity 2)
O 0.4765 0.0323 0.1368 (multiplicity 2)
O 0.6220 0.4427 0.0239 (multiplicity 2)
O 0.7042 0.1918 0.4034 (multiplicity 2)
O 0.7074 0.1790 0.6917 (multiplicity 2)
O 0.8005 0.4776 0.0844 (multiplicity 2)
O 0.8927 0.1329 0.5055 (multiplicity 2)
O 0.8980 0.2196 0.7904 (multiplicity 2)
O 0.9769 0.4509 0.1356 (multiplicity 2)

Calculated volume in Å³/cell: 631.4
Energy with MP2020 corrections in eV per atom: -7.26
Energy of formation in kcal/mol of atoms: -53.3
Polymorph energy (0 for the lowest one) in eV per atom: 0.041
Final energy in eV per cell: -293.84
Total magnetization in μB/atom: 0.092

[2]
Here is a relaxed LiCo2P2O8 crystal from Materials Project. Energies are from PBE with a Hubbard U.

abc: 8.1787 8.8020 15.1346
angles: 89.18 89.28 89.89
Space group P1 (No. 1)
Symmetry-distinct sites (fractional):
Li 0.0000 0.0000 0.0000 (multiplicity 1)
Li 0.0288 0.6155 0.4693 (multiplicity 1)
Li 0.3220 0.1025 0.3058 (multiplicity 1)
Li 0.4576 0.5564 0.1387 (multiplicity 1)
Li 0.6556 0.5976 0.8039 (multiplicity 1)
Li 0.9648 0.0817 0.6362 (multiplicity 1)
Co 0.1479 0.2935 0.1435 (multiplicity 1)
Co 0.1534 0.2568 0.4728 (multiplicity 1)
Co 0.1534 0.7649 0.2822 (multiplicity 1)
Co 0.3271 0.7954 0.6472 (multiplicity 1)
Co 0.3281 0.2737 0.7865 (multiplicity 1)
Co 0.3296 0.7532 0.9750 (multiplicity 1)
Co 0.6375 0.9070 0.4640 (multiplicity 1)
Co 0.6436 0.9528 0.1255 (multiplicity 1)
Co 0.6571 0.4299 0.3274 (multiplicity 1)
Co 0.8216 0.9307 0.8214 (multiplicity 1)
Co 0.8258 0.4518 0.6302 (multiplicity 1)
Co 0.8435 0.4136 0.9645 (multiplicity 1)
P 0.2084 0.9397 0.8238 (multiplicity 1)
P 0.2131 0.4623 0.6272 (multiplicity 1)
P 0.2311 0.4159 0.9640 (multiplicity 1)
P 0.2501 0.9029 0.4636 (multiplicity 1)
P 0.2629 0.9610 0.1277 (multiplicity 1)
P 0.2765 0.4361 0.3192 (multiplicity 1)
P 0.7135 0.7387 0.9834 (multiplicity 1)
P 0.7202 0.2700 0.7893 (multiplicity 1)
P 0.7204 0.7980 0.6450 (multiplicity 1)
P 0.7525 0.2995 0.1491 (multiplicity 1)
P 0.7642 0.7750 0.2822 (multiplicity 1)
P 0.7658 0.2355 0.4800 (multiplicity 1)
O 0.0415 0.9321 0.8743 (multiplicity 1)
O 0.0462 0.5229 0.5917 (multiplicity 1)
O 0.0553 0.3400 0.9634 (multiplicity 1)
O 0.1325 0.7963 0.4147 (multiplicity 1)
O 0.1370 0.0821 0.0971 (multiplicity 1)
O 0.1396 0.4415 0.3914 (multiplicity 1)
O 0.2003 0.9065 0.5637 (multiplicity 1)
O 0.2015 0.4231 0.7280 (multiplicity 1)
O 0.2179 0.0912 0.7681 (multiplicity 1)
O 0.2192 0.8079 0.0863 (multiplicity 1)
O 0.2192 0.8086 0.7553 (multiplicity 1)
O 0.2293 0.5760 0.9236 (multiplicity 1)
O 0.2493 0.0658 0.4237 (multiplicity 1)
O 0.2580 0.2933 0.2607 (multiplicity 1)
O 0.2675 0.3196 0.5776 (multiplicity 1)
O 0.2673 0.9447 0.2299 (multiplicity 1)
O 0.2785 0.5788 0.2580 (multiplicity 1)
O 0.2886 0.4160 0.0616 (multiplicity 1)
O 0.3402 0.3076 0.9078 (multiplicity 1)
O 0.3395 0.5941 0.6128 (multiplicity 1)
O 0.3470 0.9240 0.8901 (multiplicity 1)
O 0.4253 0.8334 0.4553 (multiplicity 1)
O 0.4363 0.0154 0.0949 (multiplicity 1)
O 0.4419 0.4209 0.3694 (multiplicity 1)
O 0.5446 0.8637 0.6574 (multiplicity 1)
O 0.5466 0.3021 0.7519 (multiplicity 1)
O 0.5478 0.6934 0.0262 (multiplicity 1)
O 0.6252 0.3985 0.2019 (multiplicity 1)
O 0.6350 0.7855 0.2065 (multiplicity 1)
O 0.6398 0.1067 0.5020 (multiplicity 1)
O 0.6965 0.7640 0.8823 (multiplicity 1)
O 0.7113 0.3181 0.0487 (multiplicity 1)
O 0.7166 0.3850 0.5241 (multiplicity 1)
O 0.7215 0.9005 0.3498 (multiplicity 1)
O 0.7282 0.1291 0.1751 (multiplicity 1)
O 0.7287 0.6359 0.6859 (multiplicity 1)
O 0.7318 0.1281 0.8478 (multiplicity 1)
O 0.7528 0.6183 0.3320 (multiplicity 1)
O 0.7566 0.4134 0.8487 (multiplicity 1)
O 0.7661 0.2632 0.3774 (multiplicity 1)
O 0.7655 0.7925 0.5443 (multiplicity 1)
O 0.7765 0.8901 0.0265 (multiplicity 1)
O 0.8418 0.2688 0.7103 (multiplicity 1)
O 0.8416 0.9058 0.6906 (multiplicity 1)
O 0.8442 0.6151 0.0020 (multiplicity 1)
O 0.9238 0.3539 0.1703 (multiplicity 1)
O 0.9330 0.7970 0.2413 (multiplicity 1)
O 0.9355 0.1783 0.5124 (multiplicity 1)

Calculated volume in Å³/cell: 1089.3
Energy with MP2020 corrections in eV per atom: -7.35
Energy of formation in kcal/mol of atoms: -51.4
Polymorph energy (0 for the lowest one) in eV per atom: 0.021
Final energy in eV per cell: -520.37
Total magnetization in μB/atom: 0.538

[3]
Here is a relaxed Li3Co2P3O12 crystal from Materials Project. Energies are from PBE with a Hubbard U.

abc: 8.3183 8.3183 22.2325
angles: 90.00 90.00 120.00
Space group R-3 (No. 148, hexagonal axes)
Symmetry-distinct sites (fractional):
Li 0.0203 0.6363 0.2156 (multiplicity 18)
Co 0.0000 0.0000 0.1528 (multiplicity 6)
Co 0.0000 0.0000 0.3523 (multiplicity 6)
P 0.0066 0.7129 0.7512 (multiplicity 18)
O 0.0129 0.8077 0.6920 (multiplicity 18)
O 0.0415 0.2095 0.5855 (multiplicity 18)
O 0.0875 0.2294 0.1972 (multiplicity 18)
O 0.0962 0.2235 0.8979 (multiplicity 18)

Calculated volume in Å³/cell: 1332.2
Energy with MP2020 corrections in eV per atom: -7.06
Energy of formation in kcal/mol of atoms: -52.6
Polymorph energy (0 for the lowest one) in eV per atom: 0.062
Final energy in eV per cell: -778.04
Total magnetization in μB/atom: 0.100

[4]
Here is a relaxed LiCo2P2O8 crystal from Materials Project. Energies are from PBE with a Hubbard U.

abc: 6.7617 7.7804 6.8706
angles: 90.00 90.06 90.00
Space group C2 (No. 5)
Symmetry-distinct sites (fractional):
Li 0.0000 0.0000 0.0000 (multiplicity 2)
Co 0.0000 0.0032 0.5000 (multiplicity 2)
Co 0.0000 0.5052 0.0000 (multiplicity 2)
P 0.2503 0.2521 0.2489 (multiplicity 4)
O 0.0537 0.6519 0.7944 (multiplicity 4)
O 0.0710 0.1282 0.2531 (multiplicity 4)
O 0.2256 0.3754 0.0663 (multiplicity 4)
O 0.2264 0.8549 0.5639 (multiplicity 4)

Calculated volume in Å³/cell: 361.5
Energy with MP2020 corrections in eV per atom: -7.36
Energy of formation in kcal/mol of atoms: -51.6
Polymorph energy (0 for the lowest one) in eV per atom: 0.011
Final energy in eV per cell: -173.73
Total magnetization in μB/atom: 0.538

[5]
Here is a relaxed LiCo3P3O11 crystal from Materials Project. Energies are from PBE with a Hubbard U.

abc: 9.8473 9.6665 10.3167
angles: 90.00 119.88 90.00
Space group P2_1/c (No. 14)
Symmetry-distinct sites (fractional):
Li 0.1965 0.1713 0.2037 (multiplicity 4)
Co 0.2273 0.6316 0.8713 (multiplicity 4)
Co 0.3998 0.1252 0.8967 (multiplicity 4)
Co 0.4149 0.6313 0.2321 (multiplicity 4)
P 0.0943 0.5663 0.2450 (multiplicity 4)
P 0.2632 0.5784 0.5707 (multiplicity 4)
P 0.3925 0.1621 0.5655 (multiplicity 4)
O 0.0456 0.5188 0.8593 (multiplicity 4)
O 0.0801 0.7221 0.2287 (multiplicity 4)
O 0.1205 0.5295 0.4142 (multiplicity 4)
O 0.2316 0.5230 0.6907 (multiplicity 4)
O 0.2501 0.5160 0.2545 (multiplicity 4)
O 0.2721 0.2204 0.4103 (multiplicity 4)
O 0.2762 0.7365 0.5644 (multiplicity 4)
O 0.3739 0.2287 0.6951 (multiplicity 4)
O 0.3886 0.0030 0.5653 (multiplicity 4)
O 0.4147 0.5072 0.5837 (multiplicity 4)
O 0.4457 0.7266 0.9052 (multiplicity 4)

Calculated volume in Å³/cell: 851.5
Energy with MP2020 corrections in eV per atom: -7.36
Energy of formation in kcal/mol of atoms: -49.4
Final energy in eV per cell: -480.04
Total magnetization in μB/atom: 0.137

[6]
Here is a relaxed Li2CoP2O7 crystal from Materials Project. Energies are from PBE with a Hubbard U.

abc: 5.0602 7.0039 8.2008
angles: 113.11 91.14 90.93
Space group P-1 (No. 2)
Symmetry-distinct sites (fractional):
Li 0.2082 0.1522 0.4953 (multiplicity 2)
Li 0.2626 0.1871 0.0705 (multiplicity 2)
Co 0.2803 0.7614 0.2217 (multiplicity 2)
P 0.2132 0.5453 0.8050 (multiplicity 2)
P 0.2732 0.8778 0.6778 (multiplicity 2)
O 0.0809 0.4789 0.1633 (multiplicity 2)
O 0.1006 0.0221 0.8234 (multiplicity 2)
O 0.1908 0.8696 0.4932 (multiplicity 2)
O 0.2142 0.6402 0.6525 (multiplicity 2)
O 0.3540 0.3395 0.7185 (multiplicity 2)
O 0.3665 0.7051 0.9654 (multiplicity 2)
O 0.4271 0.0799 0.2822 (multiplicity 2)

Calculated volume in Å³/cell: 267.2
Energy with MP2020 corrections in eV per atom: -7.20
Energy of formation in kcal/mol of atoms: -57.6
Polymorph energy (0 for the lowest one) in eV per atom: 0.020
Final energy in eV per cell: -159.81
Total magnetization in μB/atom: 0.250

[7]
Here is a relaxed LiCoP2O7 crystal from Materials Project. Energies are from PBE with a Hubbard U.

abc: 7.2020 7.8894 9.5154
angles: 90.00 110.56 90.00
Space group P2_1/c (No. 14)
Symmetry-distinct sites (fractional):
Li 0.1987 0.0216 0.2144 (multiplicity 4)
Co 0.2375 0.0077 0.7514 (multiplicity 4)
P 0.1696 0.7104 0.9529 (multiplicity 4)
P 0.4178 0.2400 0.0450 (multiplicity 4)
O 0.0426 0.5765 0.8455 (multiplicity 4)
O 0.1185 0.6069 0.3954 (multiplicity 4)
O 0.1885 0.7007 0.1178 (multiplicity 4)
O 0.2998 0.1358 0.5996 (multiplicity 4)
O 0.3107 0.2114 0.8758 (multiplicity 4)
O 0.3796 0.6599 0.9366 (multiplicity 4)
O 0.4721 0.0781 0.1405 (multiplicity 4)

Calculated volume in Å³/cell: 506.2
Energy with MP2020 corrections in eV per atom: -7.25
Energy of formation in kcal/mol of atoms: -52.9
Polymorph energy (0 for the lowest one) in eV per atom: 0.059
Final energy in eV per cell: -293.05
Total magnetization in μB/atom: 0.000

[8]
Here is a relaxed LiCoP2O7 crystal from Materials Project. Energies are from PBE with a Hubbard U.

abc: 5.0659 6.7876 8.2052
angles: 67.86 87.77 87.95
Space group P1 (No. 1)
Symmetry-distinct sites (fractional):
Li 0.0000 0.0000 0.0000 (multiplicity 1)
Li 0.4984 0.3486 0.4344 (multiplicity 1)
Co 0.4784 0.9627 0.2692 (multiplicity 1)
Co 0.9551 0.3966 0.7262 (multiplicity 1)
P 0.4347 0.7086 0.6893 (multiplicity 1)
P 0.4853 0.0582 0.8286 (multiplicity 1)
P 0.9572 0.2849 0.1710 (multiplicity 1)
P 0.9977 0.6257 0.3071 (multiplicity 1)
O 0.1467 0.6492 0.6829 (multiplicity 1)
O 0.1648 0.1406 0.2921 (multiplicity 1)
O 0.2882 0.6612 0.3292 (multiplicity 1)
O 0.3089 0.2196 0.6911 (multiplicity 1)
O 0.3974 0.0221 0.0195 (multiplicity 1)
O 0.4351 0.8236 0.8287 (multiplicity 1)
O 0.5362 0.8734 0.5141 (multiplicity 1)
O 0.6131 0.5137 0.7656 (multiplicity 1)
O 0.6724 0.2315 0.2433 (multiplicity 1)
O 0.7806 0.1013 0.7908 (multiplicity 1)
O 0.8355 0.8321 0.2227 (multiplicity 1)
O 0.8650 0.4623 0.4720 (multiplicity 1)
O 0.9970 0.2927 0.9840 (multiplicity 1)
O 0.9974 0.5256 0.1555 (multiplicity 1)

Calculated volume in Å³/cell: 261.1
Energy with MP2020 corrections in eV per atom: -7.23
Energy of formation in kcal/mol of atoms: -52.6
Polymorph energy (0 for the lowest one) in eV per atom: 0.072
Final energy in eV per cell: -146.25
Total magnetization in μB/atom: 0.000

[9]
Here is a relaxed Li2CoP2O7 crystal from Materials Project. Energies are from PBE with a Hubbard U.

abc: 8.1110 5.1195 14.1703
angles: 90.00 112.25 90.00
Space group P2_1/c (No. 14)
Symmetry-distinct sites (fractional):
Li 0.0241 0.1829 0.1784 (multiplicity 4)
Li 0.4254 0.2192 0.1618 (multiplicity 4)
Co 0.2766 0.2132 0.8781 (multiplicity 4)
P 0.1876 0.7066 0.1924 (multiplicity 4)
P 0.3012 0.7114 0.0213 (multiplicity 4)
O 0.0027 0.7295 0.6935 (multiplicity 4)
O 0.1539 0.7479 0.5727 (multiplicity 4)
O 0.2164 0.6557 0.4178 (multiplicity 4)
O 0.2371 0.0833 0.7161 (multiplicity 4)
O 0.3238 0.0848 0.5133 (multiplicity 4)
O 0.3300 0.6038 0.7571 (multiplicity 4)
O 0.4670 0.6449 0.5933 (multiplicity 4)

Calculated volume in Å³/cell: 544.6
Energy with MP2020 corrections in eV per atom: -7.19
Energy of formation in kcal/mol of atoms: -57.3
Polymorph energy (0 for the lowest one) in eV per atom: 0.031
Final energy in eV per cell: -319.11
Total magnetization in μB/atom: 0.250